1.
Density functional theory data (PBE) for crystalline Np5Ge4 at its relaxed geometry.

The structure belongs to space group P6_3/mcm (No. 193); the cell edges are 8.4296, 8.4296 and 5.6874 Å and the angles 90.00°, 90.00° and 120.00°. The inequivalent atoms are Np at (0.0000, 0.2999, 0.2500), Np at (0.3333, 0.6667, 0.0000), Ge at (0.0000, 0.0000, 0.0000) and Ge at (0.0000, 0.3659, 0.7500).

The value obtained for the electronic total energy is -0.3319 Ha/atom. The calculation puts the density at 14.00 Mg/m³. The value obtained for the energy relative to the elements is 0.217 eV/atom. The size of the total moment comes out at 0.95 μB per cell.

---

2.
Density functional theory data (PBE) for crystalline Np5Ge3 at its relaxed geometry.

The structure belongs to space group I4/mcm (No. 140); the cell edges are 10.941, 10.941 and 5.079 Å and the angles 90.00°, 90.00° and 90.00°. The inequivalent atoms are Np at (0.000, 0.500, 0.250), Np at (0.072, 0.243, 0.000), Ge at (0.000, 0.000, 0.250) and Ge at (0.173, 0.327, 0.500).

The value obtained for the electronic total energy is -0.3557 Ha/atom. The calculation puts the density at 15.33 Mg/m³. The value obtained for the energy relative to the elements is 0.148 eV/atom. The size of the total moment comes out at 25.98 μB per cell.

---

3.
Density functional theory data (PBE) for crystalline NpGe2Pd2 at its relaxed geometry.

The structure belongs to space group I4/mmm (No. 139); the cell edges are 4.203, 4.203 and 10.567 Å and the angles 90.00°, 90.00° and 90.00°. The inequivalent atoms are Np at (0.000, 0.000, 0.000), Ge at (0.000, 0.000, 0.384) and Pd at (0.000, 0.500, 0.250).

The value obtained for the electronic total energy is -0.2560 Ha/atom. The calculation puts the density at 10.59 Mg/m³. The value obtained for the energy relative to the elements is -0.455 eV/atom. The size of the total moment comes out at 8.06 μB per cell.

---

4.
Density functional theory data (PBE) for crystalline Np2Tc3Ge4 at its relaxed geometry.

The structure belongs to space group P2_1/c (No. 14); the cell edges are 6.812, 8.220 and 5.726 Å and the angles 90.00°, 104.40° and 90.00°. The inequivalent atoms are Np at (0.249, 0.051, 0.423), Tc at (0.106, 0.706, 0.378), Tc at (0.500, 0.000, 0.000), Ge at (0.134, 0.100, 0.881) and Ge at (0.427, 0.750, 0.229).

The value obtained for the electronic total energy is -0.3184 Ha/atom. The calculation puts the density at 11.32 Mg/m³. The value obtained for the energy relative to the elements is -0.278 eV/atom. The size of the total moment comes out at 13.76 μB per cell.